[1]
Co2SnC8Cl2O8: optimized geometry, PBE with a Hubbard U.

Geometry as CIF:
```
data_Co2SnC8Cl2O8
_cell_length_a 11.8095
_cell_length_b 11.5352
_cell_length_c 12.8113
_cell_angle_alpha 90.00
_cell_angle_beta 108.33
_cell_angle_gamma 90.00
_symmetry_space_group_name_H-M 'P 1 21/c 1'
_symmetry_Int_Tables_number 14
loop_
_symmetry_equiv_pos_as_xyz
'x,y,z'
'-x,-y,-z'
'-x,y+1/2,-z+1/2'
'x,-y+1/2,z+1/2'
loop_
_atom_site_label
_atom_site_type_symbol
_atom_site_fract_x
_atom_site_fract_y
_atom_site_fract_z
_atom_site_occupancy
Co1 Co 0.0119 0.1729 0.2093 1
Co2 Co 0.4277 0.1872 0.3264 1
Sn1 Sn 0.2211 0.1686 0.3534 1
C1 C 0.0376 0.6712 0.1715 1
C2 C 0.0572 0.0408 0.1610 1
C3 C 0.0572 0.1891 0.6715 1
C4 C 0.1338 0.6735 0.3882 1
C5 C 0.3804 0.1696 0.7775 1
C6 C 0.3825 0.0614 0.2416 1
C7 C 0.4304 0.6969 0.1941 1
C8 C 0.4818 0.1699 0.4731 1
Cl1 Cl 0.2194 0.1844 0.9855 1
Cl2 Cl 0.2287 0.5042 0.9577 1
O1 O 0.0739 0.6723 0.0976 1
O2 O 0.0811 0.5455 0.6267 1
O3 O 0.0823 0.0989 0.6463 1
O4 O 0.2291 0.6727 0.4501 1
O5 O 0.3390 0.7030 0.2089 1
O6 O 0.3561 0.0754 0.7478 1
O7 O 0.3594 0.5206 0.6868 1
O8 O 0.4793 0.6602 0.9324 1
```

Computed properties:
- E (eV/atom) = -6.872
- crystal system = monoclinic

---

[2]
Co3SnC12ClO12: optimized geometry, PBE with a Hubbard U.

Geometry as CIF:
```
data_Co3SnC12ClO12
_cell_length_a 8.5905
_cell_length_b 16.4521
_cell_length_c 16.5036
_cell_angle_alpha 90.00
_cell_angle_beta 105.81
_cell_angle_gamma 90.00
_symmetry_space_group_name_H-M 'P 1 21/c 1'
_symmetry_Int_Tables_number 14
loop_
_symmetry_equiv_pos_as_xyz
'x,y,z'
'-x,-y,-z'
'-x,y+1/2,-z+1/2'
'x,-y+1/2,z+1/2'
loop_
_atom_site_label
_atom_site_type_symbol
_atom_site_fract_x
_atom_site_fract_y
_atom_site_fract_z
_atom_site_occupancy
Co1 Co 0.0683 0.1221 0.2491 1
Co2 Co 0.1692 0.1538 0.6162 1
Co3 Co 0.2416 0.6777 0.5080 1
Sn1 Sn 0.0527 0.7377 0.3644 1
C1 C 0.0303 0.1231 0.5209 1
C2 C 0.0532 0.6655 0.5308 1
C3 C 0.1037 0.0677 0.1633 1
C4 C 0.1323 0.6198 0.2400 1
C5 C 0.1454 0.1181 0.7138 1
C6 C 0.1536 0.0489 0.3274 1
C7 C 0.2055 0.1984 0.3001 1
C8 C 0.2930 0.2399 0.6128 1
C9 C 0.3047 0.6016 0.4474 1
C10 C 0.3198 0.0822 0.6111 1
C11 C 0.3482 0.7282 0.0167 1
C12 C 0.3579 0.6384 0.6058 1
Cl1 Cl 0.2324 0.6873 0.8016 1
O1 O 0.0504 0.5964 0.0416 1
O2 O 0.0674 0.1544 0.9521 1
O3 O 0.1291 0.0276 0.1104 1
O4 O 0.1384 0.0919 0.7779 1
O5 O 0.2126 0.0041 0.3809 1
O6 O 0.2608 0.6145 0.2307 1
O7 O 0.3021 0.2444 0.3361 1
O8 O 0.3524 0.5492 0.4138 1
O9 O 0.3792 0.2072 0.1084 1
O10 O 0.4197 0.0366 0.6073 1
O11 O 0.4280 0.6703 0.0269 1
O12 O 0.4339 0.6108 0.6684 1
```

Computed properties:
- E (eV/atom) = -7.174
- crystal system = monoclinic

---

[3]
CrH6CN3ClO3: optimized geometry, PBE with a Hubbard U.

Geometry as CIF:
```
data_CrH6CN3ClO3
_cell_length_a 6.2925
_cell_length_b 7.3930
_cell_length_c 16.0607
_cell_angle_alpha 90.00
_cell_angle_beta 90.00
_cell_angle_gamma 90.00
_symmetry_space_group_name_H-M 'P n m a'
_symmetry_Int_Tables_number 62
loop_
_symmetry_equiv_pos_as_xyz
'x,y,z'
'-x,-y,-z'
'-x+1/2,-y,z+1/2'
'x+1/2,y,-z+1/2'
'x+1/2,-y+1/2,-z+1/2'
'-x+1/2,y+1/2,z+1/2'
'-x,y+1/2,-z'
'x,-y+1/2,z'
loop_
_atom_site_label
_atom_site_type_symbol
_atom_site_fract_x
_atom_site_fract_y
_atom_site_fract_z
_atom_site_occupancy
Cr1 Cr 0.1348 0.2500 0.1432 1
H1 H 0.0387 0.0288 0.3790 1
H2 H 0.2304 0.1316 0.6928 1
H3 H 0.2360 0.5921 0.4309 1
C1 C 0.0181 0.7500 0.3699 1
N1 N 0.1046 0.5932 0.3944 1
N2 N 0.1525 0.2500 0.6798 1
Cl1 Cl 0.0502 0.7500 0.9731 1
O1 O 0.0745 0.0688 0.1948 1
O2 O 0.1128 0.7500 0.6181 1
```

Computed properties:
- E (eV/atom) = -5.850
- crystal system = orthorhombic

---

[4]
CrH36C12S6Cl3O6: optimized geometry, PBE with a Hubbard U.

Geometry as CIF:
```
data_CrH36C12S6Cl3O6
_cell_length_a 10.7453
_cell_length_b 10.7453
_cell_length_c 21.9299
_cell_angle_alpha 90.00
_cell_angle_beta 90.00
_cell_angle_gamma 120.00
_symmetry_space_group_name_H-M 'R -3'
_symmetry_Int_Tables_number 148
_symmetry_space_group_name_Hall '-R 3'
loop_
_atom_site_label
_atom_site_type_symbol
_atom_site_fract_x
_atom_site_fract_y
_atom_site_fract_z
_atom_site_occupancy
Cr1 Cr 0.0000 0.0000 0.0000 1
H1 H 0.0185 0.8142 0.1797 1
H2 H 0.0233 0.2502 0.6757 1
H3 H 0.0311 0.6193 0.4785 1
H4 H 0.0325 0.8495 0.3943 1
H5 H 0.0373 0.4296 0.9572 1
H6 H 0.0434 0.2691 0.4985 1
C1 C 0.0072 0.7478 0.3719 1
C2 C 0.0258 0.7342 0.1506 1
S1 S 0.0573 0.5776 0.7439 1
Cl1 Cl 0.0000 0.0000 0.2466 1
Cl2 Cl 0.0000 0.0000 0.5000 1
O1 O 0.0364 0.1695 0.9488 1
```

Computed properties:
- E (eV/atom) = -5.046
- crystal system = trigonal

---

no.,calculated formation energy (eV/atom)
1,-0.84
2,-0.82
3,-0.73
4,-0.41